# 1
A relaxed SiI4 crystal. Source: the Materials Project, functional PBE.

Lattice parameters (Å, degrees): 13.0213 13.0213 13.0213 90.00 90.00 90.00
Atoms (fractional coordinates):
Si: 0.3722 0.6278 0.1278
Si: 0.1278 0.1278 0.1278
Si: 0.8722 0.6278 0.3722
Si: 0.1278 0.3722 0.6278
Si: 0.6278 0.1278 0.3722
Si: 0.3722 0.8722 0.6278
Si: 0.8722 0.8722 0.8722
Si: 0.6278 0.3722 0.8722
I: 0.9845 0.7375 0.4767
I: 0.0233 0.4845 0.7375
I: 0.7365 0.2365 0.2635
I: 0.7625 0.5233 0.4845
I: 0.2625 0.5233 0.0155
I: 0.0155 0.2625 0.5233
I: 0.4767 0.9845 0.7375
I: 0.2365 0.2635 0.7365
I: 0.7625 0.9767 0.9845
I: 0.7375 0.0233 0.4845
I: 0.2635 0.7635 0.7365
I: 0.2375 0.4767 0.5155
I: 0.5233 0.4845 0.7625
I: 0.4767 0.5155 0.2375
I: 0.2365 0.2365 0.2365
I: 0.9845 0.7625 0.9767
I: 0.2625 0.9767 0.5155
I: 0.7365 0.2635 0.7635
I: 0.5155 0.2375 0.4767
I: 0.0155 0.2375 0.0233
I: 0.2375 0.0233 0.0155
I: 0.2635 0.7365 0.2365
I: 0.5155 0.2625 0.9767
I: 0.7375 0.4767 0.9845
I: 0.9767 0.9845 0.7625
I: 0.4845 0.7625 0.5233
I: 0.7635 0.7365 0.2635
I: 0.5233 0.0155 0.2625
I: 0.7635 0.7635 0.7635
I: 0.0233 0.0155 0.2375
I: 0.9767 0.5155 0.2625
I: 0.4845 0.7375 0.0233

Calculated values
Crystal system: cubic
ΔE_f in kJ per mole of atoms: -66
DFT total energy in eV for the cell shown: -107.3

***

# 2
A relaxed Lu2TcAu crystal. Source: the Materials Project, functional PBE.

Lattice parameters (Å, degrees): 4.8570 4.8570 4.8570 60.00 60.00 60.00
Atoms (fractional coordinates):
Lu: 0.2500 0.2500 0.2500
Lu: 0.7500 0.7500 0.7500
Tc: 0.0000 0.0000 0.0000
Au: 0.5000 0.5000 0.5000

Calculated values
Crystal system: cubic
M_tot in μB per formula unit: 0.0
ΔE_f in kJ per mole of atoms: -44
DFT total energy in eV for the cell shown: -24.5